MgVSi4O10 | PBE with a Hubbard U | optimized geometry

The crystal system is tetragonal. The magnetic moment comes out at 11.8 μB/cell. The value obtained for the total DFT energy (no corrections) is -7.603 eV per atom.

Cell and atoms, written as CIF:
```
data_MgVSi4O10
_chemical_formula_sum 'Mg4 V4 Si16 O40'
_cell_length_a 7.337
_cell_length_b 7.337
_cell_length_c 14.972
_cell_angle_alpha 90.00
_cell_angle_beta 90.00
_cell_angle_gamma 90.00
_space_group_name_H-M_alt 'P 4/n c c'
_space_group_IT_number 130
loop_
_space_group_symop_operation_xyz
'x,y,z'
'-x,-y,-z'
'-y+1/2,x,z'
'y+1/2,-x,-z'
'-x+1/2,-y+1/2,z'
'x+1/2,y+1/2,-z'
'y,-x+1/2,z'
'-y,x+1/2,-z'
'x+1/2,-y,-z+1/2'
'-x+1/2,y,z+1/2'
'-y,-x,-z+1/2'
'y,x,z+1/2'
'-x,y+1/2,-z+1/2'
'x,-y+1/2,z+1/2'
'y+1/2,x+1/2,-z+1/2'
'-y+1/2,-x+1/2,z+1/2'
loop_
_atom_site_label
_atom_site_type_symbol
_atom_site_fract_x
_atom_site_fract_y
_atom_site_fract_z
_atom_site_occupancy
Mg1 Mg 0.250 0.750 0.000 1
V1 V 0.250 0.250 0.072 1
Si1 Si 0.009 0.590 0.146 1
O1 O 0.001 0.190 0.874 1
O2 O 0.020 0.662 0.425 1
O3 O 0.058 0.558 0.250 1
```

***

InFe29O40 | PBE with a Hubbard U | optimized geometry

The crystal system is tetragonal. The magnetic moment comes out at 270.0 μB/cell. The value obtained for the total DFT energy (no corrections) is -6.649 eV per atom.

Cell and atoms, written as CIF:
```
data_InFe29O40
_chemical_formula_sum 'In2 Fe58 O80'
_cell_length_a 13.624
_cell_length_b 13.624
_cell_length_c 8.634
_cell_angle_alpha 90.00
_cell_angle_beta 90.00
_cell_angle_gamma 90.00
_space_group_name_H-M_alt 'I -4'
_space_group_IT_number 82
_space_group_name_Hall 'I -4'
loop_
_atom_site_label
_atom_site_type_symbol
_atom_site_fract_x
_atom_site_fract_y
_atom_site_fract_z
_atom_site_occupancy
In1 In 0.000 0.000 0.000 1
Fe1 Fe 0.000 0.500 0.250 1
Fe2 Fe 0.001 0.251 0.124 1
Fe3 Fe 0.050 0.400 0.874 1
Fe4 Fe 0.051 0.901 0.380 1
Fe5 Fe 0.099 0.301 0.497 1
Fe6 Fe 0.101 0.799 0.750 1
Fe7 Fe 0.151 0.200 0.870 1
Fe8 Fe 0.151 0.701 0.375 1
O1 O 0.000 0.257 0.885 1
O2 O 0.007 0.747 0.365 1
O3 O 0.046 0.900 0.629 1
O4 O 0.047 0.406 0.633 1
O5 O 0.054 0.884 0.130 1
O6 O 0.055 0.390 0.109 1
O7 O 0.143 0.698 0.138 1
O8 O 0.146 0.208 0.126 1
O9 O 0.150 0.693 0.617 1
O10 O 0.160 0.202 0.621 1
```

***

Li4V3P8O29 | PBE with a Hubbard U | optimized geometry

The offset from the most stable computed form comes out at 0.008 eV/atom. The crystal system is triclinic. The magnetic moment comes out at 2.0 μB/cell.

Cell and atoms, written as CIF:
```
data_Li4V3P8O29
_chemical_formula_sum 'Li8 V6 P16 O58'
_cell_length_a 9.741
_cell_length_b 9.757
_cell_length_c 14.109
_cell_angle_alpha 89.67
_cell_angle_beta 89.90
_cell_angle_gamma 60.10
_space_group_name_H-M_alt 'P 1'
_space_group_IT_number 1
_space_group_name_Hall 'P 1'
loop_
_atom_site_label
_atom_site_type_symbol
_atom_site_fract_x
_atom_site_fract_y
_atom_site_fract_z
_atom_site_occupancy
Li1 Li 0.000 0.000 0.000 1
Li2 Li 0.004 0.431 0.499 1
Li3 Li 0.139 0.431 0.997 1
Li4 Li 0.236 0.100 0.061 1
Li5 Li 0.281 0.091 0.554 1
Li6 Li 0.475 0.762 0.616 1
Li7 Li 0.565 0.864 0.999 1
Li8 Li 0.911 0.187 0.617 1
V1 V 0.235 0.663 0.309 1
V2 V 0.241 0.530 0.804 1
V3 V 0.671 0.097 0.311 1
V4 V 0.671 0.663 0.811 1
V5 V 0.800 0.095 0.806 1
V6 V 0.800 0.531 0.302 1
P1 P 0.009 0.412 0.715 1
P2 P 0.013 0.010 0.217 1
P3 P 0.151 0.408 0.213 1
P4 P 0.155 0.872 0.715 1
P5 P 0.319 0.788 0.901 1
P6 P 0.322 0.317 0.397 1
P7 P 0.458 0.180 0.899 1
P8 P 0.462 0.783 0.399 1
P9 P 0.542 0.013 0.713 1
P10 P 0.548 0.876 0.217 1
P11 P 0.567 0.429 0.189 1
P12 P 0.571 0.433 0.687 1
P13 P 0.904 0.760 0.426 1
P14 P 0.908 0.760 0.927 1
P15 P 0.926 0.185 0.400 1
P16 P 0.929 0.318 0.897 1
O1 O 0.009 0.111 0.490 1
O2 O 0.014 0.329 0.624 1
O3 O 0.025 0.083 0.127 1
O4 O 0.028 0.294 0.800 1
O5 O 0.030 0.308 0.979 1
O6 O 0.033 0.100 0.308 1
O7 O 0.051 0.608 0.882 1
O8 O 0.051 0.758 0.379 1
O9 O 0.152 0.564 0.228 1
O10 O 0.152 0.837 0.227 1
O11 O 0.153 0.438 0.724 1
O12 O 0.154 0.714 0.729 1
O13 O 0.217 0.327 0.121 1
O14 O 0.228 0.885 0.985 1
O15 O 0.231 0.302 0.478 1
O16 O 0.237 0.893 0.808 1
O17 O 0.246 0.877 0.631 1
O18 O 0.248 0.293 0.299 1
O19 O 0.316 0.478 0.388 1
O20 O 0.318 0.355 0.895 1
O21 O 0.318 0.631 0.886 1
O22 O 0.323 0.749 0.390 1
O23 O 0.421 0.573 0.236 1
O24 O 0.426 0.429 0.737 1
O25 O 0.436 0.100 0.805 1
O26 O 0.440 0.893 0.308 1
O27 O 0.442 0.094 0.982 1
O28 O 0.450 0.087 0.627 1
O29 O 0.453 0.866 0.489 1
O30 O 0.465 0.884 0.126 1
O31 O 0.491 0.757 0.901 1
O32 O 0.496 0.181 0.394 1
O33 O 0.562 0.437 0.582 1
O34 O 0.563 0.585 0.728 1
O35 O 0.571 0.429 0.085 1
O36 O 0.573 0.280 0.236 1
O37 O 0.581 0.837 0.723 1
O38 O 0.582 0.014 0.226 1
O39 O 0.616 0.178 0.887 1
O40 O 0.620 0.628 0.383 1
O41 O 0.699 0.016 0.727 1
O42 O 0.706 0.717 0.230 1
O43 O 0.715 0.433 0.234 1
O44 O 0.725 0.285 0.726 1
O45 O 0.750 0.772 0.891 1
O46 O 0.758 0.910 0.382 1
O47 O 0.769 0.184 0.385 1
O48 O 0.772 0.477 0.886 1
O49 O 0.855 0.012 0.232 1
O50 O 0.856 0.568 0.730 1
O51 O 0.894 0.179 0.896 1
O52 O 0.894 0.358 0.394 1
O53 O 0.904 0.610 0.385 1
O54 O 0.910 0.754 0.531 1
O55 O 0.914 0.907 0.887 1
O56 O 0.918 0.749 0.033 1
O57 O 0.978 0.442 0.226 1
O58 O 0.982 0.012 0.716 1
```

***

Values of calculated volume, in order: 12.59; 11.45; 13.21, all in Å³/atom.